Entry i
LiGa5O8 | Materials Project | meta-GGA r2SCAN | optimized geometry; total magnetic moment = 0.00 μB/f.u.
1.0
5.868 0.000 0.000
0.000 5.774 0.000
0.000 0.000 8.190
Li Ga O
2 10 16
Cartesian
0.000 0.000 0.000 Li
2.934 0.000 4.095 Li
0.000 1.482 3.141 Ga
0.000 2.887 0.000 Ga
0.000 4.292 5.048 Ga
1.467 1.331 6.142 Ga
1.467 4.444 2.047 Ga
2.934 1.482 0.953 Ga
2.934 2.887 4.095 Ga
2.934 4.292 7.236 Ga
4.401 1.331 6.142 Ga
4.401 4.444 2.047 Ga
0.000 0.052 6.108 O
0.000 2.778 6.198 O
0.000 2.997 1.992 O
0.000 5.723 2.082 O
1.395 1.497 8.095 O
1.395 4.277 0.095 O
1.539 1.497 4.190 O
1.539 4.277 4.000 O
2.934 0.052 6.177 O
2.934 2.778 6.087 O
2.934 2.997 2.103 O
2.934 5.723 2.013 O
4.329 1.497 4.190 O
4.329 4.277 4.000 O
4.473 1.497 8.095 O
4.473 4.277 0.095 O

---

Entry ii
LiGa5O8 | Materials Project | meta-GGA r2SCAN | optimized geometry; total magnetic moment = 0.00 μB/f.u.
1.0
8.222 0.000 0.000
0.000 8.222 0.000
0.000 0.000 8.222
Li Ga O
4 20 32
Cartesian
1.028 1.028 1.028 Li
3.083 7.194 5.139 Li
5.139 3.083 7.194 Li
7.194 5.139 3.083 Li
0.027 4.138 8.195 Ga
0.954 3.083 3.009 Ga
1.028 5.213 5.065 Ga
1.102 7.268 7.194 Ga
2.028 2.083 6.139 Ga
2.083 6.139 2.028 Ga
3.009 0.954 3.083 Ga
3.083 3.009 0.954 Ga
3.157 5.139 7.120 Ga
4.084 4.084 4.084 Ga
4.138 8.195 0.027 Ga
5.065 1.028 5.213 Ga
5.139 7.120 3.157 Ga
5.213 5.065 1.028 Ga
6.139 2.028 2.083 Ga
6.194 6.194 6.194 Ga
7.120 3.157 5.139 Ga
7.194 1.102 7.268 Ga
7.268 7.194 1.102 Ga
8.195 0.027 4.138 Ga
0.931 3.180 5.042 O
0.949 0.976 7.179 O
0.976 7.179 0.949 O
1.013 7.143 5.218 O
1.043 5.059 3.135 O
1.079 1.107 3.098 O
1.107 3.098 1.079 O
1.124 5.235 7.098 O
2.987 2.987 2.987 O
3.004 5.124 5.190 O
3.032 7.115 7.209 O
3.068 3.162 7.246 O
3.098 1.079 1.107 O
3.135 1.043 5.059 O
3.162 7.246 3.068 O
3.180 5.042 0.931 O
5.042 0.931 3.180 O
5.059 3.135 1.043 O
5.087 5.154 7.273 O
5.124 5.190 3.004 O
5.154 7.273 5.087 O
5.190 3.004 5.124 O
5.218 1.013 7.143 O
5.235 7.098 1.124 O
7.098 1.124 5.235 O
7.115 7.209 3.032 O
7.143 5.218 1.013 O
7.179 0.949 0.976 O
7.209 3.032 7.115 O
7.246 3.068 3.162 O
7.273 5.087 5.154 O
7.291 7.291 7.291 O

---

What are the relative energies? In meV/atom: entry i 6; entry ii 0.

---

Entry i
Si | Materials Project | meta-GGA r2SCAN | optimized geometry; total magnetic moment = 0.00 μB/f.u.
1.0
1.647 -4.575 0.000
1.647 4.575 0.000
0.000 0.000 3.999
Si
4
Cartesian
1.647 3.555 2.999 Si
1.647 1.031 2.999 Si
1.647 -1.031 1.000 Si
1.647 -3.555 1.000 Si

---

Entry ii
Si | Materials Project | meta-GGA r2SCAN | optimized geometry; total magnetic moment = 0.00 μB/f.u.
1.0
0.000 2.722 2.722
2.722 0.000 2.722
2.722 2.722 0.000
Si
2
Cartesian
0.680 0.680 0.680 Si
4.763 4.763 4.763 Si

---

Entry iii
Si | Materials Project | meta-GGA r2SCAN | optimized geometry; total magnetic moment = 0.00 μB/f.u.
1.0
3.831 0.000 0.000
-1.916 3.318 0.000
0.000 0.000 6.333
Si
4
Cartesian
0.000 2.212 0.399 Si
0.000 2.212 2.767 Si
1.916 1.106 3.565 Si
1.916 1.106 5.934 Si

---

What are the relative energies? In meV/atom: entry i 665; entry ii 0; entry iii 14.

---

Entry i
Cs | Materials Project | meta-GGA r2SCAN | optimized geometry; total magnetic moment = 0.07 μB/f.u.
1.0
5.477 0.000 0.000
0.000 9.903 0.000
0.000 0.000 9.207
Cs
4
Cartesian
1.289 1.059 2.302 Cs
1.289 3.892 6.905 Cs
4.188 6.011 2.302 Cs
4.188 8.843 6.905 Cs

---

Entry ii
Cs | Materials Project | meta-GGA r2SCAN | optimized geometry; total magnetic moment = 0.20 μB/f.u.
1.0
9.965 0.000 0.000
0.000 9.965 0.000
0.000 0.000 9.965
Cs
8
Cartesian
0.000 0.000 0.000 Cs
0.000 2.491 4.982 Cs
0.000 7.473 4.982 Cs
2.491 4.982 0.000 Cs
4.982 0.000 2.491 Cs
4.982 0.000 7.473 Cs
4.982 4.982 4.982 Cs
7.473 4.982 0.000 Cs

---

What are the relative energies? In meV/atom: entry i 0; entry ii 9.

---

Entry i
Li2VF6 | Materials Project | meta-GGA r2SCAN | optimized geometry; total magnetic moment = 1.00 μB/f.u.
1.0
9.319 0.000 0.000
0.000 8.453 0.000
0.000 0.000 4.918
Li V F
8 4 24
Cartesian
0.967 0.977 0.000 Li
0.980 4.673 2.371 Li
3.679 0.447 4.830 Li
3.692 5.203 2.459 Li
5.627 3.249 0.000 Li
5.640 8.006 2.371 Li
8.338 3.779 4.830 Li
8.351 7.476 2.459 Li
1.255 6.391 4.856 V
3.405 2.164 2.397 V
5.914 6.288 4.856 V
8.064 2.062 2.397 V
0.160 6.309 1.466 F
0.161 7.647 4.066 F
0.210 5.019 4.071 F
2.204 7.860 0.559 F
2.263 5.198 0.872 F
2.309 6.281 3.358 F
2.351 2.055 0.899 F
2.397 0.972 3.332 F
2.455 3.634 3.018 F
4.449 0.793 1.612 F
4.500 2.083 3.925 F
4.498 3.420 1.607 F
4.820 5.032 4.066 F
4.819 6.370 1.466 F
4.869 7.660 4.071 F
6.863 4.819 0.559 F
6.922 7.481 0.872 F
6.968 6.398 3.358 F
7.010 2.171 0.899 F
7.056 3.255 3.332 F
7.114 0.592 3.018 F
9.108 3.433 1.612 F
9.158 0.806 1.607 F
9.159 2.144 3.925 F

---

Entry ii
Li2VF6 | Materials Project | meta-GGA r2SCAN | optimized geometry; total magnetic moment = 1.00 μB/f.u.
1.0
4.549 0.000 0.000
0.000 4.549 0.000
0.000 0.000 8.866
Li V F
4 2 12
Cartesian
0.000 0.000 1.484 Li
0.000 0.000 7.382 Li
2.274 2.274 2.949 Li
2.274 2.274 5.916 Li
0.000 0.000 4.433 V
2.274 2.274 0.000 V
0.892 0.892 3.050 F
0.892 0.892 5.816 F
0.986 0.986 0.000 F
1.288 3.260 4.433 F
1.382 3.166 1.383 F
1.382 3.166 7.482 F
3.166 1.382 1.383 F
3.166 1.382 7.482 F
3.260 1.288 4.433 F
3.563 3.563 0.000 F
3.657 3.657 3.050 F
3.657 3.657 5.816 F

---

What are the relative energies? In meV/atom: entry i 25; entry ii 0.

---

Entry i
CaMg2C3O9 | Materials Project | meta-GGA r2SCAN | optimized geometry; total magnetic moment = 0.00 μB/f.u.
1.0
4.108 -7.116 0.000
4.108 7.116 0.000
-2.745 0.000 5.235
Ca Mg C O
2 4 6 18
Cartesian
2.735 5.948 2.618 Ca
4.108 -5.948 0.000 Ca
1.240 3.550 5.206 Mg
2.651 1.167 2.658 Mg
4.024 -1.167 0.040 Mg
2.613 -3.550 2.589 Mg
-0.022 1.251 3.966 C
1.351 -1.251 1.348 C
3.974 3.528 3.911 C
5.280 1.249 1.290 C
3.908 -1.249 3.907 C
5.346 -3.528 1.294 C
2.347 2.909 1.267 O
4.363 5.225 1.124 O
1.276 0.014 1.605 O
1.113 1.859 3.949 O
-0.096 -0.014 4.223 O
2.855 4.145 4.049 O
2.486 -1.859 1.331 O
4.161 0.599 1.316 O
5.302 2.543 1.300 O
3.994 2.248 3.789 O
0.974 -2.909 3.885 O
2.789 -0.599 3.934 O
6.382 0.597 1.247 O
5.367 -2.248 1.172 O
4.228 -4.145 1.432 O
5.009 -0.597 3.865 O
3.929 -2.543 3.918 O
2.990 -5.225 3.742 O

---

Entry ii
CaMg2C3O9 | Materials Project | meta-GGA r2SCAN | optimized geometry; total magnetic moment = 0.00 μB/f.u.
1.0
4.756 0.000 0.000
-0.027 7.591 0.000
-2.351 -1.426 8.468
Ca Mg C O
2 4 6 18
Cartesian
-0.034 0.726 2.854 Ca
2.412 5.439 5.614 Ca
-0.044 4.494 2.751 Mg
2.378 0.000 0.000 Mg
2.365 3.796 0.000 Mg
2.423 1.671 5.717 Mg
0.001 5.678 0.047 C
0.042 3.418 5.633 C
0.045 -0.197 5.746 C
2.333 6.362 2.723 C
2.336 2.747 2.835 C
2.377 0.487 8.421 C
-1.230 -0.060 5.615 O
-1.678 5.115 7.836 O
-0.543 4.197 4.793 O
0.628 4.812 0.777 O
-0.658 2.701 6.455 O
1.266 1.914 0.006 O
1.054 2.793 2.796 O
0.840 0.527 5.043 O
0.489 6.481 6.521 O
1.890 -0.316 1.947 O
1.539 5.638 3.426 O
1.324 3.372 5.672 O
1.113 4.251 8.462 O
3.036 3.464 2.013 O
1.750 1.353 7.691 O
2.922 1.968 3.676 O
4.056 1.050 0.632 O
3.608 6.225 2.853 O

---

What are the relative energies? In meV/atom: entry i 13; entry ii 0.

---

Entry i
LiFeF4 | Materials Project | meta-GGA r2SCAN | optimized geometry; total magnetic moment = 5.00 μB/f.u.
1.0
4.477 0.000 0.000
0.000 11.420 0.000
0.000 0.000 4.782
Li Fe F
4 4 16
Cartesian
0.000 0.659 1.196 Li
0.000 10.760 3.587 Li
2.239 5.051 3.587 Li
2.239 6.369 1.196 Li
0.000 3.725 1.196 Fe
0.000 7.695 3.587 Fe
2.239 1.985 3.587 Fe
2.239 9.434 1.196 Fe
1.036 2.200 0.366 F
1.036 9.220 2.757 F
1.110 0.738 2.782 F
1.110 10.682 0.391 F
1.129 4.972 0.391 F
1.129 6.448 2.782 F
1.203 3.510 2.757 F
1.203 7.910 0.366 F
3.274 3.510 4.417 F
3.274 7.910 2.026 F
3.349 4.972 2.000 F
3.349 6.448 4.391 F
3.367 0.738 4.391 F
3.367 10.682 2.000 F
3.442 2.200 2.026 F
3.442 9.220 4.417 F

---

Entry ii
LiFeF4 | Materials Project | meta-GGA r2SCAN | optimized geometry; total magnetic moment = 5.00 μB/f.u.
1.0
4.596 0.000 0.000
0.000 5.577 0.000
0.000 0.000 9.964
Li Fe F
4 4 16
Cartesian
0.000 0.000 0.000 Li
0.000 0.000 4.982 Li
2.298 2.788 0.000 Li
2.298 2.788 4.982 Li
0.000 1.696 2.491 Fe
0.000 3.881 7.473 Fe
2.298 1.092 7.473 Fe
2.298 4.484 2.491 Fe
0.978 1.539 0.895 F
0.978 4.038 5.877 F
1.087 0.201 3.283 F
1.087 5.376 8.265 F
1.211 2.588 8.265 F
1.211 2.989 3.283 F
1.320 1.250 5.877 F
1.320 4.327 0.895 F
3.276 1.250 9.069 F
3.276 4.327 4.087 F
3.385 2.588 6.681 F
3.385 2.989 1.699 F
3.509 0.201 1.699 F
3.509 5.376 6.681 F
3.618 1.539 4.087 F
3.618 4.038 9.069 F

---

What are the relative energies? In meV/atom: entry i 0; entry ii 11.